{"formula": "Na3LaSn3P6O24", "functional": "GGA-PBE", "state": "optimized geometry", "space_group": "P1", "crystal_system": "triclinic", "e_form_mev_per_atom": -2646, "energy_corrected_mp2020_ev_per_atom": -7.2987, "e_tot_ev_per_cell": -760.70, "lattice_angstrom": [[-4.066, 6.963, 4.019], [5.513, -5.379, 4.715], [17.888, 13.460, -5.393]], "species": ["P", "O", "O", "O", "Sn", "O", "O", "O", "La", "O", "La", "O", "O", "O", "O", "O", "P", "O", "O", "P", "O", "O", "O", "O", "Sn", "O", "P", "O", "Sn", "O", "P", "O", "O", "O", "O", "P", "O", "O", "O", "Sn", "P", "O", "Na", "O", "O", "Na", "P", "O", "O", "O", "O", "O", "O", "O", "Na", "O", "O", "O", "P", "O", "O", "O", "Na", "Sn", "P", "O", "O", "P", "Na", "O", "O", "O", "O", "O", "O", "O", "Na", "O", "O", "O", "P", "O", "Sn", "P", "O", "O", "La", "O", "O", "P", "O", "O", "O", "O", "P", "P", "Sn", "Sn", "Na", "O", "P", "Na", "O", "O", "Sn", "P", "O", "O", "O", "O", "Na"], "frac_coords": [[0.351, 0.391, 0.418], [0.463, 0.327, 0.752], [0.332, 0.485, 0.471], [0.698, 0.151, 0.027], [0.003, 0.003, 0.648], [0.299, 0.820, 0.253], [0.458, 0.303, 0.031], [0.639, 0.543, 0.641], [0.679, 0.334, 0.174], [0.996, 0.213, 0.311], [0.668, 0.323, 0.685], [0.450, 0.366, 0.139], [0.180, 0.969, 0.193], [0.625, 0.147, 0.423], [0.785, 0.814, 0.193], [0.791, 0.962, 0.699], [0.292, 0.989, 0.248], [0.515, 0.666, 0.575], [0.860, 0.479, 0.425], [0.710, 0.987, 0.755], [0.115, 0.484, 0.861], [0.990, 0.823, 0.083], [0.899, 0.364, 0.633], [0.178, 0.710, 0.758], [0.334, 0.665, 0.013], [0.627, 0.081, 0.135], [0.690, 0.704, 0.247], [0.034, 0.207, 0.200], [0.666, 0.334, 0.983], [0.294, 0.476, 0.757], [0.011, 0.304, 0.253], [0.368, 0.488, 0.360], [0.335, 0.488, 0.068], [0.788, 0.777, 0.304], [0.176, 0.983, 0.912], [0.627, 0.663, 0.915], [0.120, 0.629, 0.365], [0.798, 0.001, 0.420], [0.990, 0.812, 0.808], [0.336, 0.675, 0.315], [0.671, 0.640, 0.584], [0.471, 0.147, 0.242], [0.332, 0.680, 0.163], [0.531, 0.816, 0.759], [0.195, 0.188, 0.809], [0.667, 0.320, 0.837], [0.358, 0.333, 0.081], [0.016, 0.192, 0.912], [0.188, 0.215, 0.419], [0.177, 0.168, 0.085], [0.499, 0.144, 0.923], [0.851, 0.550, 0.751], [0.685, 0.141, 0.754], [0.834, 0.013, 0.084], [0.358, 0.352, 0.246], [0.328, 0.844, 0.573], [0.816, 0.004, 0.809], [0.449, 0.147, 0.528], [0.978, 0.646, 0.078], [0.861, 0.335, 0.248], [0.151, 0.456, 0.969], [0.217, 0.018, 0.303], [0.634, 0.628, 0.750], [0.997, 0.997, 0.147], [0.338, 0.963, 0.916], [0.810, 0.824, 0.911], [0.527, 0.860, 0.474], [0.036, 0.373, 0.916], [0.319, 0.667, 0.665], [0.035, 0.828, 0.696], [0.513, 0.699, 0.251], [0.539, 0.693, 0.967], [0.306, 0.848, 0.969], [0.178, 0.212, 0.697], [0.836, 0.820, 0.588], [0.855, 0.354, 0.923], [0.667, 0.333, 0.329], [0.697, 0.544, 0.532], [0.012, 0.802, 0.424], [0.460, 0.096, 0.636], [0.279, 0.295, 0.754], [0.514, 0.842, 0.067], [0.004, 0.003, 0.857], [0.014, 0.726, 0.754], [0.850, 0.547, 0.027], [0.159, 0.671, 0.067], [0.995, 0.982, 0.356], [0.369, 0.884, 0.861], [0.516, 0.378, 0.424], [0.039, 0.650, 0.422], [0.145, 0.661, 0.475], [0.643, 0.500, 0.923], [0.158, 0.484, 0.573], [0.520, 0.634, 0.858], [0.973, 0.330, 0.580], [0.357, 0.027, 0.581], [0.339, 0.670, 0.520], [0.661, 0.334, 0.485], [0.000, 0.000, 0.003], [0.652, 0.519, 0.243], [0.613, 0.967, 0.420], [0.970, 0.296, 0.416], [0.857, 0.303, 0.525], [0.922, 0.550, 0.135], [0.328, 0.667, 0.817], [0.667, 0.023, 0.078], [0.983, 0.164, 0.586], [0.186, 0.480, 0.254], [0.179, 0.014, 0.586], [0.514, 0.883, 0.363], [0.000, 0.988, 0.504]]}